1.
Density functional theory data (r²SCAN) for NaCeS2 after structural relaxation.

```
NaCeS2
1.0
6.7116 -2.0850 -0.0220
6.7116 2.0850 -0.0220
6.0756 0.0000 3.5328
Na S Ce
1 2 1
Cartesian
9.7494 0.0000 1.7444 Na
4.9733 0.0000 0.8899 S
14.5256 0.0000 2.5990 S
0.0000 0.0000 0.0000 Ce
```

**Total magnetization**: 1.00 μB/cell
**Final energy**: -58.81 eV/cell
**Formation enthalpy at 0 K**: -2.09 eV/atom
**Symmetry**: R-3m (166)

=====

2.
Density functional theory data (r²SCAN) for NaCeTl2 after structural relaxation.

```
NaCeTl2
1.0
0.0000 3.8175 3.8175
3.8175 0.0000 3.8175
3.8175 3.8175 0.0000
Tl Na Ce
2 1 1
Cartesian
5.7263 5.7263 5.7263 Tl
1.9088 1.9088 1.9088 Tl
0.0000 0.0000 0.0000 Na
3.8175 3.8175 3.8175 Ce
```

**Total magnetization**: 1.04 μB/cell
**Final energy**: -142.16 eV/cell
**Formation enthalpy at 0 K**: -0.35 eV/atom
**Symmetry**: Fm-3m (225)

=====

Question: What is the total magnetization in the first record?
Answer: 1.00 μB/cell

=====

Question: Among the records above, which one has the highest total magnetization?
Answer: NaCeTl2

=====

Question: What is the formation enthalpy at 0 K in the second record?
Answer: -0.35 eV/atom